Entry i
# UTi, optimized geometry, DFT PBE-GGA
data_UTi
_chemical_formula_sum 'U1 Ti1'
_cell_length_a 2.948
_cell_length_b 2.948
_cell_length_c 5.103
_cell_angle_alpha 90.00
_cell_angle_beta 90.00
_cell_angle_gamma 120.00
_space_group_name_H-M_alt 'P 1'
_space_group_IT_number 1
_space_group_name_Hall 'P 1'
loop_
_atom_site_label
_atom_site_fract_x
_atom_site_fract_y
_atom_site_fract_z
U1 0.000 0.000 0.000
Ti1 0.333 0.667 0.500
# Volume   19.2 A^3/atom
# Symmetry   P-6m2, No. 187
# Crystal system   hexagonal

***

Entry ii
# UTi, optimized geometry, DFT PBE-GGA
data_UTi
_chemical_formula_sum 'U1 Ti1'
_cell_length_a 2.890
_cell_length_b 2.890
_cell_length_c 5.045
_cell_angle_alpha 90.00
_cell_angle_beta 90.00
_cell_angle_gamma 117.13
_space_group_name_H-M_alt 'P 1'
_space_group_IT_number 1
_space_group_name_Hall 'P 1'
loop_
_atom_site_label
_atom_site_fract_x
_atom_site_fract_y
_atom_site_fract_z
U1 0.500 0.500 0.500
Ti1 0.000 0.000 0.000
# Volume   18.7 A^3/atom
# Symmetry   Cmmm, No. 65
# Crystal system   orthorhombic

***

It comes down to entry ii, which is 0.007 eV/atom more stable than the next structure.

***

Entry i
# Tm, optimized geometry, DFT PBE-GGA
data_Tm
_chemical_formula_sum 'Tm2'
_cell_length_a 3.563
_cell_length_b 3.563
_cell_length_c 5.513
_cell_angle_alpha 90.00
_cell_angle_beta 90.00
_cell_angle_gamma 120.00
_space_group_name_H-M_alt 'P 1'
_space_group_IT_number 1
_space_group_name_Hall 'P 1'
loop_
_atom_site_label
_atom_site_fract_x
_atom_site_fract_y
_atom_site_fract_z
Tm1 0.333 0.667 0.750
Tm2 0.667 0.333 0.250
# Volume   30.3 A^3/atom
# Symmetry   P6_3/mmc, No. 194
# Crystal system   hexagonal

***

Entry ii
# Tm, optimized geometry, DFT PBE-GGA
data_Tm
_chemical_formula_sum 'Tm4'
_cell_length_a 3.505
_cell_length_b 3.505
_cell_length_c 11.301
_cell_angle_alpha 90.00
_cell_angle_beta 90.00
_cell_angle_gamma 120.00
_space_group_name_H-M_alt 'P 1'
_space_group_IT_number 1
_space_group_name_Hall 'P 1'
loop_
_atom_site_label
_atom_site_fract_x
_atom_site_fract_y
_atom_site_fract_z
Tm1 0.000 0.000 0.000
Tm2 0.333 0.667 0.250
Tm3 0.000 0.000 0.500
Tm4 0.667 0.333 0.750
# Volume   30.1 A^3/atom
# Symmetry   P6_3/mmc, No. 194
# Crystal system   hexagonal

***

Entry iii
# Tm, optimized geometry, DFT PBE-GGA
data_Tm
_chemical_formula_sum 'Tm1'
_cell_length_a 3.413
_cell_length_b 3.413
_cell_length_c 3.413
_cell_angle_alpha 109.47
_cell_angle_beta 109.47
_cell_angle_gamma 109.47
_space_group_name_H-M_alt 'P 1'
_space_group_IT_number 1
_space_group_name_Hall 'P 1'
loop_
_atom_site_label
_atom_site_fract_x
_atom_site_fract_y
_atom_site_fract_z
Tm1 0.000 0.000 0.000
# Volume   30.6 A^3/atom
# Symmetry   Im-3m, No. 229
# Crystal system   cubic

***

Entry iv
# Tm, optimized geometry, DFT PBE-GGA
data_Tm
_chemical_formula_sum 'Tm1'
_cell_length_a 3.488
_cell_length_b 3.488
_cell_length_c 3.488
_cell_angle_alpha 60.00
_cell_angle_beta 60.00
_cell_angle_gamma 60.00
_space_group_name_H-M_alt 'P 1'
_space_group_IT_number 1
_space_group_name_Hall 'P 1'
loop_
_atom_site_label
_atom_site_fract_x
_atom_site_fract_y
_atom_site_fract_z
Tm1 0.000 0.000 0.000
# Volume   30.0 A^3/atom
# Symmetry   Fm-3m, No. 225
# Crystal system   cubic

***

It comes down to entry i, which is 0.007 eV/atom more stable than the next structure.

***

Entry i
# Tm3V, optimized geometry, DFT PBE-GGA
data_Tm3V
_chemical_formula_sum 'Tm3 V1'
_cell_length_a 5.282
_cell_length_b 5.282
_cell_length_c 5.282
_cell_angle_alpha 119.97
_cell_angle_beta 119.97
_cell_angle_gamma 90.05
_space_group_name_H-M_alt 'P 1'
_space_group_IT_number 1
_space_group_name_Hall 'P 1'
loop_
_atom_site_label
_atom_site_fract_x
_atom_site_fract_y
_atom_site_fract_z
Tm1 0.750 0.250 0.500
Tm2 0.250 0.750 0.500
Tm3 0.500 0.500 0.000
V1 0.000 0.000 0.000
# Volume   26.1 A^3/atom
# Symmetry   I4/mmm, No. 139
# Crystal system   tetragonal

***

Entry ii
# Tm3V, optimized geometry, DFT PBE-GGA
data_Tm3V
_chemical_formula_sum 'Tm3 V1'
_cell_length_a 5.441
_cell_length_b 5.441
_cell_length_c 5.441
_cell_angle_alpha 124.70
_cell_angle_beta 124.70
_cell_angle_gamma 82.04
_space_group_name_H-M_alt 'P 1'
_space_group_IT_number 1
_space_group_name_Hall 'P 1'
loop_
_atom_site_label
_atom_site_fract_x
_atom_site_fract_y
_atom_site_fract_z
Tm1 0.750 0.250 0.500
Tm2 0.250 0.750 0.500
Tm3 0.500 0.500 0.000
V1 0.000 0.000 0.000
# Volume   26.2 A^3/atom
# Symmetry   I4/mmm, No. 139
# Crystal system   tetragonal

***

It comes down to entry i, which is 0.011 eV/atom more stable than the next structure.

***

Entry i
# U2Zn17, optimized geometry, DFT PBE-GGA
data_U2Zn17
_chemical_formula_sum 'U12 Zn102'
_cell_length_a 8.992
_cell_length_b 8.992
_cell_length_c 26.346
_cell_angle_alpha 90.00
_cell_angle_beta 90.00
_cell_angle_gamma 120.00
_space_group_name_H-M_alt 'P 1'
_space_group_IT_number 1
_space_group_name_Hall 'P 1'
loop_
_atom_site_label
_atom_site_fract_x
_atom_site_fract_y
_atom_site_fract_z
U1 0.333 0.667 0.750
U2 0.333 0.667 0.415
U3 0.667 0.333 0.250
U4 0.333 0.667 0.250
U5 0.000 0.000 0.919
U6 0.000 0.000 0.419
U7 0.000 0.000 0.081
U8 0.667 0.333 0.915
U9 0.667 0.333 0.750
U10 0.667 0.333 0.585
U11 0.333 0.667 0.085
U12 0.000 0.000 0.581
Zn1 0.829 0.658 0.659
Zn2 0.162 0.325 0.493
Zn3 0.631 0.965 0.583
Zn4 0.667 0.631 0.417
Zn5 0.325 0.162 0.993
Zn6 0.333 0.667 0.867
Zn7 0.171 0.829 0.341
Zn8 0.505 0.009 0.674
Zn9 0.325 0.162 0.507
Zn10 0.495 0.991 0.174
Zn11 0.833 0.667 0.333
Zn12 0.369 0.333 0.417
Zn13 0.000 0.000 0.699
Zn14 0.333 0.369 0.917
Zn15 0.500 0.500 0.000
Zn16 0.658 0.829 0.159
Zn17 0.333 0.965 0.583
Zn18 0.965 0.631 0.083
Zn19 0.829 0.658 0.841
Zn20 0.631 0.667 0.917
Zn21 0.965 0.333 0.417
Zn22 0.667 0.631 0.083
Zn23 0.658 0.829 0.341
Zn24 0.991 0.495 0.674
Zn25 0.162 0.325 0.007
Zn26 0.838 0.675 0.993
Zn27 0.300 0.004 0.750
Zn28 0.996 0.700 0.750
Zn29 0.162 0.838 0.493
Zn30 0.833 0.667 0.167
Zn31 0.333 0.167 0.333
Zn32 0.000 0.000 0.801
Zn33 0.838 0.162 0.507
Zn34 0.495 0.505 0.174
Zn35 0.035 0.369 0.583
Zn36 0.838 0.162 0.993
Zn37 0.505 0.009 0.826
Zn38 0.333 0.667 0.968
Zn39 0.035 0.369 0.917
Zn40 0.333 0.965 0.917
Zn41 0.631 0.965 0.917
Zn42 0.369 0.035 0.417
Zn43 0.167 0.333 0.667
Zn44 0.838 0.675 0.507
Zn45 0.333 0.667 0.532
Zn46 0.667 0.833 0.833
Zn47 0.000 0.000 0.301
Zn48 0.333 0.369 0.583
Zn49 0.296 0.996 0.250
Zn50 0.342 0.171 0.659
Zn51 0.667 0.333 0.468
Zn52 0.667 0.333 0.367
Zn53 0.004 0.300 0.250
Zn54 0.631 0.667 0.583
Zn55 0.667 0.035 0.417
Zn56 0.675 0.838 0.007
Zn57 0.296 0.300 0.250
Zn58 0.500 0.000 0.500
Zn59 0.996 0.296 0.750
Zn60 0.162 0.838 0.007
Zn61 0.829 0.171 0.659
Zn62 0.171 0.829 0.159
Zn63 0.000 0.500 0.000
Zn64 0.167 0.833 0.833
Zn65 0.700 0.704 0.250
Zn66 0.505 0.495 0.826
Zn67 0.965 0.333 0.083
Zn68 0.829 0.171 0.841
Zn69 0.704 0.700 0.750
Zn70 0.167 0.333 0.833
Zn71 0.000 0.000 0.199
Zn72 0.009 0.505 0.174
Zn73 0.675 0.838 0.493
Zn74 0.667 0.035 0.083
Zn75 0.035 0.667 0.583
Zn76 0.000 0.500 0.500
Zn77 0.500 0.000 0.000
Zn78 0.009 0.505 0.326
Zn79 0.991 0.495 0.826
Zn80 0.965 0.631 0.417
Zn81 0.035 0.667 0.917
Zn82 0.495 0.991 0.326
Zn83 0.495 0.505 0.326
Zn84 0.171 0.342 0.159
Zn85 0.369 0.333 0.083
Zn86 0.300 0.296 0.750
Zn87 0.833 0.167 0.333
Zn88 0.333 0.167 0.167
Zn89 0.333 0.667 0.633
Zn90 0.342 0.171 0.841
Zn91 0.004 0.704 0.250
Zn92 0.171 0.342 0.341
Zn93 0.167 0.833 0.667
Zn94 0.704 0.004 0.750
Zn95 0.833 0.167 0.167
Zn96 0.500 0.500 0.500
Zn97 0.667 0.833 0.667
Zn98 0.369 0.035 0.083
Zn99 0.505 0.495 0.674
Zn100 0.700 0.996 0.250
Zn101 0.667 0.333 0.133
Zn102 0.667 0.333 0.032
# Volume   16.2 A^3/atom
# Symmetry   P6_3/mmc, No. 194
# Crystal system   hexagonal

***

Entry ii
# U2Zn17, optimized geometry, DFT PBE-GGA
data_U2Zn17
_chemical_formula_sum 'U2 Zn17'
_cell_length_a 6.780
_cell_length_b 6.780
_cell_length_c 6.780
_cell_angle_alpha 82.48
_cell_angle_beta 82.48
_cell_angle_gamma 82.48
_space_group_name_H-M_alt 'P 1'
_space_group_IT_number 1
_space_group_name_Hall 'P 1'
loop_
_atom_site_label
_atom_site_fract_x
_atom_site_fract_y
_atom_site_fract_z
U1 0.662 0.662 0.662
U2 0.338 0.338 0.338
Zn1 0.354 0.354 0.840
Zn2 0.840 0.354 0.354
Zn3 0.102 0.102 0.102
Zn4 0.898 0.898 0.898
Zn5 0.000 0.000 0.500
Zn6 0.000 0.500 0.000
Zn7 0.500 0.000 0.000
Zn8 0.000 0.702 0.298
Zn9 0.702 0.298 0.000
Zn10 0.298 0.000 0.702
Zn11 0.000 0.298 0.702
Zn12 0.298 0.702 0.000
Zn13 0.702 0.000 0.298
Zn14 0.160 0.646 0.646
Zn15 0.646 0.646 0.160
Zn16 0.646 0.160 0.646
Zn17 0.354 0.840 0.354
# Volume   16.0 A^3/atom
# Symmetry   R-3m, No. 166
# Crystal system   trigonal

***

It comes down to entry i, which is 0.045 eV/atom more stable than the next structure.